# PBE with a Hubbard U Li3FePCO7, optimized geometry
# - ρ: 2.74 Mg/m³
# - ΔH_f (0 K): -225.4 kJ per mole of atoms
data_Li3FePCO7
_chemical_formula_sum 'Li12 Fe4 P4 C4 O28'
_cell_length_a 8.068
_cell_length_b 8.161
_cell_length_c 8.792
_cell_angle_alpha 93.41
_cell_angle_beta 86.90
_cell_angle_gamma 76.98
_space_group_name_H-M_alt 'P 1'
_space_group_IT_number 1
_space_group_name_Hall 'P 1'
loop_
_atom_site_label
_atom_site_fract_x
_atom_site_fract_y
_atom_site_fract_z
O1 0.621 0.051 0.721
O2 0.274 0.580 0.459
O3 0.909 0.671 0.354
O4 0.443 0.888 0.466
O5 0.757 0.642 0.616
O6 0.413 0.980 0.987
O7 0.945 0.897 0.929
O8 0.257 0.142 0.616
O9 0.445 0.397 0.929
O10 0.915 0.969 0.181
O11 0.168 0.035 0.356
O12 0.362 0.687 0.719
O13 0.409 0.171 0.354
O14 0.115 0.252 0.894
O15 0.087 0.834 0.609
O16 0.117 0.741 0.088
O17 0.585 0.824 0.146
O18 0.587 0.333 0.609
O19 0.415 0.470 0.181
O20 0.773 0.080 0.459
O21 0.913 0.480 0.987
O22 0.862 0.186 0.718
O23 0.121 0.550 0.721
O24 0.085 0.324 0.146
O25 0.615 0.752 0.894
O26 0.668 0.535 0.356
O27 0.617 0.241 0.088
O28 0.943 0.388 0.466
Li1 0.066 0.010 0.773
Li2 0.752 0.099 0.915
Li3 0.879 0.684 0.823
Li4 0.651 0.038 0.252
Li5 0.252 0.599 0.915
Li6 0.964 0.211 0.302
Li7 0.566 0.510 0.773
Li8 0.379 0.184 0.822
Li9 0.151 0.538 0.252
Li10 0.778 0.623 0.159
Li11 0.464 0.711 0.302
Li12 0.278 0.123 0.159
P1 0.212 0.662 0.621
P2 0.712 0.162 0.621
P3 0.818 0.559 0.453
P4 0.318 0.059 0.453
Fe1 0.493 0.387 0.398
Fe2 0.037 0.334 0.676
Fe3 0.993 0.887 0.398
Fe4 0.538 0.834 0.676
C1 0.535 0.854 0.009
C2 0.995 0.868 0.066
C3 0.035 0.354 0.009
C4 0.495 0.368 0.066

# PBE with a Hubbard U MgCo6Ag2P6H4O24, optimized geometry
# - ρ: 4.02 Mg/m³
# - Crystal system: triclinic
# - ΔH_f (0 K): -186.7 kJ per mole of atoms
data_MgCo6Ag2P6H4O24
_chemical_formula_sum 'Mg1 Co6 Ag2 P6 H4 O24'
_cell_length_a 6.524
_cell_length_b 8.936
_cell_length_c 8.999
_cell_angle_alpha 85.85
_cell_angle_beta 74.32
_cell_angle_gamma 72.78
_space_group_name_H-M_alt 'P 1'
_space_group_IT_number 1
_space_group_name_Hall 'P 1'
loop_
_atom_site_label
_atom_site_fract_x
_atom_site_fract_y
_atom_site_fract_z
Mg1 0.000 0.000 0.000
Co1 0.159 0.517 0.797
Co2 0.404 0.981 0.246
Co3 0.405 0.761 0.863
Co4 0.575 0.308 0.179
Co5 0.795 0.304 0.450
Co6 0.939 0.607 0.532
Ag1 0.282 0.591 0.152
Ag2 0.712 0.601 0.126
P1 0.127 0.270 0.083
P2 0.291 0.247 0.502
P3 0.438 0.675 0.498
P4 0.689 0.419 0.811
P5 0.816 0.862 0.829
P6 0.917 0.914 0.299
H1 0.231 0.211 0.773
H2 0.370 0.919 0.574
H3 0.775 0.168 0.751
H4 0.841 0.941 0.551
O1 0.019 0.757 0.888
O2 0.082 0.358 0.463
O3 0.108 0.441 0.024
O4 0.135 0.935 0.188
O5 0.154 0.163 0.946
O6 0.248 0.600 0.562
O7 0.285 0.275 0.678
O8 0.313 0.074 0.477
O9 0.332 0.204 0.152
O10 0.405 0.810 0.620
O11 0.436 0.758 0.343
O12 0.458 0.529 0.809
O13 0.500 0.293 0.408
O14 0.596 0.844 0.942
O15 0.665 0.552 0.490
O16 0.705 0.341 0.964
O17 0.743 0.277 0.693
O18 0.744 0.979 0.201
O19 0.830 0.031 0.841
O20 0.830 0.827 0.661
O21 0.855 0.016 0.449
O22 0.863 0.511 0.754
O23 0.910 0.271 0.212
O24 0.939 0.741 0.339

# PBE with a Hubbard U CaFeP4O12, optimized geometry
# - ρ: 2.78 Mg/m³
# - Crystal system: monoclinic
# - ΔH_f (0 K): -263.7 kJ per mole of atoms
data_CaFeP4O12
_chemical_formula_sum 'Ca2 Fe2 P8 O24'
_cell_length_a 7.601
_cell_length_b 7.601
_cell_length_c 10.263
_cell_angle_alpha 112.95
_cell_angle_beta 112.95
_cell_angle_gamma 70.70
_space_group_name_H-M_alt 'P 1'
_space_group_IT_number 1
_space_group_name_Hall 'P 1'
loop_
_atom_site_label
_atom_site_fract_x
_atom_site_fract_y
_atom_site_fract_z
Ca1 0.047 0.953 0.750
Ca2 0.953 0.047 0.250
Fe1 0.000 0.500 0.500
Fe2 0.500 0.000 0.000
P1 0.273 0.718 0.025
P2 0.282 0.727 0.475
P3 0.304 0.319 0.805
P4 0.319 0.304 0.305
P5 0.681 0.696 0.695
P6 0.696 0.681 0.195
P7 0.718 0.273 0.525
P8 0.727 0.282 0.975
O1 0.111 0.829 0.089
O2 0.138 0.292 0.327
O3 0.171 0.889 0.411
O4 0.195 0.353 0.658
O5 0.199 0.691 0.573
O6 0.234 0.501 0.935
O7 0.292 0.138 0.827
O8 0.309 0.801 0.927
O9 0.320 0.530 0.344
O10 0.353 0.195 0.158
O11 0.470 0.680 0.156
O12 0.499 0.766 0.565
O13 0.501 0.234 0.435
O14 0.530 0.320 0.844
O15 0.647 0.805 0.842
O16 0.680 0.470 0.656
O17 0.691 0.199 0.073
O18 0.708 0.862 0.173
O19 0.766 0.499 0.065
O20 0.801 0.309 0.427
O21 0.805 0.647 0.342
O22 0.829 0.111 0.589
O23 0.862 0.708 0.673
O24 0.889 0.171 0.911

# PBE with a Hubbard U Li4MnCu3O8, optimized geometry
# - ρ: 4.62 Mg/m³
# - Crystal system: monoclinic
# - ΔH_f (0 K): -152.5 kJ per mole of atoms
data_Li4MnCu3O8
_chemical_formula_sum 'Li4 Mn1 Cu3 O8'
_cell_length_a 5.883
_cell_length_b 5.883
_cell_length_c 5.890
_cell_angle_alpha 120.03
_cell_angle_beta 120.03
_cell_angle_gamma 60.26
_space_group_name_H-M_alt 'P 1'
_space_group_IT_number 1
_space_group_name_Hall 'P 1'
loop_
_atom_site_label
_atom_site_fract_x
_atom_site_fract_y
_atom_site_fract_z
Li1 0.000 0.000 0.000
Li2 0.000 0.500 0.500
Li3 0.500 0.000 0.500
Li4 0.500 0.500 0.000
Mn1 0.000 0.000 0.500
Cu1 0.000 0.500 0.000
Cu2 0.500 0.000 0.000
Cu3 0.500 0.500 0.500
O1 0.232 0.764 0.266
O2 0.235 0.235 0.735
O3 0.236 0.768 0.734
O4 0.261 0.261 0.239
O5 0.739 0.739 0.761
O6 0.764 0.232 0.266
O7 0.765 0.765 0.265
O8 0.768 0.236 0.734

# PBE with a Hubbard U Li3Fe8B8O24, optimized geometry
# - ρ: 3.19 Mg/m³
# - Crystal system: triclinic
# - ΔH_f (0 K): -217.3 kJ per mole of atoms
data_Li3Fe8B8O24
_chemical_formula_sum 'Li3 Fe8 B8 O24'
_cell_length_a 5.294
_cell_length_b 9.102
_cell_length_c 11.367
_cell_angle_alpha 66.88
_cell_angle_beta 76.61
_cell_angle_gamma 89.76
_space_group_name_H-M_alt 'P 1'
_space_group_IT_number 1
_space_group_name_Hall 'P 1'
loop_
_atom_site_label
_atom_site_fract_x
_atom_site_fract_y
_atom_site_fract_z
Li1 0.000 0.000 0.000
Li2 0.239 0.268 0.503
Li3 0.737 0.766 0.506
Fe1 0.155 0.193 0.287
Fe2 0.211 0.584 0.540
Fe3 0.417 0.778 0.785
Fe4 0.467 0.154 0.039
Fe5 0.650 0.692 0.288
Fe6 0.713 0.082 0.542
Fe7 0.906 0.286 0.785
Fe8 0.965 0.647 0.035
B1 0.156 0.531 0.289
B2 0.209 0.911 0.538
B3 0.416 0.446 0.785
B4 0.451 0.818 0.036
B5 0.659 0.029 0.294
B6 0.710 0.409 0.537
B7 0.909 0.940 0.795
B8 0.963 0.317 0.038
O1 0.037 0.799 0.836
O2 0.074 0.787 0.533
O3 0.126 0.066 0.496
O4 0.172 0.274 0.095
O5 0.192 0.443 0.742
O6 0.228 0.381 0.313
O7 0.283 0.632 0.327
O8 0.331 0.949 0.036
O9 0.350 0.710 0.993
O10 0.438 0.887 0.584
O11 0.447 0.079 0.244
O12 0.521 0.585 0.779
O13 0.537 0.305 0.828
O14 0.571 0.285 0.536
O15 0.630 0.566 0.489
O16 0.689 0.786 0.079
O17 0.696 0.939 0.745
O18 0.743 0.881 0.307
O19 0.788 0.124 0.336
O20 0.855 0.457 0.028
O21 0.874 0.212 0.989
O22 0.939 0.386 0.583
O23 0.947 0.585 0.231
O24 0.994 0.072 0.810

# PBE with a Hubbard U V2CrO6, optimized geometry
# - ρ: 3.40 Mg/m³
# - Crystal system: monoclinic
# - ΔH_f (0 K): -222.4 kJ per mole of atoms
data_V2CrO6
_chemical_formula_sum 'V4 Cr2 O12'
_cell_length_a 6.762
_cell_length_b 6.762
_cell_length_c 5.708
_cell_angle_alpha 104.83
_cell_angle_beta 104.83
_cell_angle_gamma 84.63
_space_group_name_H-M_alt 'P 1'
_space_group_IT_number 1
_space_group_name_Hall 'P 1'
loop_
_atom_site_label
_atom_site_fract_x
_atom_site_fract_y
_atom_site_fract_z
V1 0.105 0.299 0.240
V2 0.299 0.105 0.740
V3 0.701 0.895 0.260
V4 0.895 0.701 0.760
Cr1 0.416 0.584 0.750
Cr2 0.584 0.416 0.250
O1 0.129 0.147 0.943
O2 0.135 0.584 0.787
O3 0.147 0.129 0.443
O4 0.313 0.469 0.369
O5 0.416 0.865 0.713
O6 0.469 0.313 0.869
O7 0.531 0.687 0.131
O8 0.584 0.135 0.287
O9 0.687 0.531 0.631
O10 0.853 0.871 0.557
O11 0.865 0.416 0.213
O12 0.871 0.853 0.057

# PBE with a Hubbard U MnV5O12, optimized geometry
# - ρ: 3.20 Mg/m³
# - Crystal system: monoclinic
# - ΔH_f (0 K): -226.3 kJ per mole of atoms
data_MnV5O12
_chemical_formula_sum 'Mn1 V5 O12'
_cell_length_a 6.894
_cell_length_b 6.894
_cell_length_c 5.884
_cell_angle_alpha 105.08
_cell_angle_beta 105.08
_cell_angle_gamma 84.39
_space_group_name_H-M_alt 'P 1'
_space_group_IT_number 1
_space_group_name_Hall 'P 1'
loop_
_atom_site_label
_atom_site_fract_x
_atom_site_fract_y
_atom_site_fract_z
Mn1 0.000 0.000 0.000
V1 0.174 0.826 0.500
V2 0.297 0.302 0.518
V3 0.476 0.119 0.012
V4 0.698 0.703 0.482
V5 0.881 0.524 0.988
O1 0.001 0.298 0.963
O2 0.048 0.719 0.120
O3 0.127 0.110 0.404
O4 0.186 0.534 0.537
O5 0.281 0.952 0.880
O6 0.450 0.263 0.304
O7 0.450 0.280 0.809
O8 0.466 0.814 0.463
O9 0.702 0.999 0.037
O10 0.720 0.550 0.191
O11 0.737 0.550 0.696
O12 0.890 0.873 0.596

# PBE with a Hubbard U Li2MnOF3, optimized geometry
# - ρ: 3.07 Mg/m³
# - ΔH_f (0 K): -266.0 kJ per mole of atoms
data_Li2MnOF3
_chemical_formula_sum 'Li8 Mn4 O4 F12'
_cell_length_a 5.317
_cell_length_b 6.124
_cell_length_c 10.597
_cell_angle_alpha 99.94
_cell_angle_beta 101.29
_cell_angle_gamma 110.00
_space_group_name_H-M_alt 'P 1'
_space_group_IT_number 1
_space_group_name_Hall 'P 1'
loop_
_atom_site_label
_atom_site_fract_x
_atom_site_fract_y
_atom_site_fract_z
Li1 0.318 0.302 0.862
Li2 0.750 0.125 0.750
Li3 0.250 0.375 0.250
Li4 0.250 0.875 0.250
Li5 0.182 0.448 0.638
Li6 0.182 0.948 0.638
Li7 0.318 0.802 0.862
Li8 0.750 0.625 0.750
F1 0.159 0.876 0.428
F2 0.446 0.290 0.701
F3 0.446 0.790 0.701
F4 0.639 0.157 0.943
F5 0.861 0.093 0.557
F6 0.159 0.375 0.428
F7 0.341 0.374 0.072
F8 0.054 0.960 0.799
F9 0.054 0.460 0.799
F10 0.861 0.593 0.557
F11 0.639 0.657 0.943
F12 0.341 0.875 0.072
O1 0.920 0.517 0.201
O2 0.580 0.234 0.299
O3 0.920 0.016 0.201
O4 0.580 0.733 0.299
Mn1 0.640 0.697 0.124
Mn2 0.860 0.553 0.376
Mn3 0.640 0.197 0.124
Mn4 0.860 0.053 0.376